! NaCo3O6, relaxed, DFT GGA+U; values from VASP
! Total magnetic moment ... 2.00 μB/f.u.
! V ... 12.0 Å³/atom
! Energy above the lowest structure with this stoichiometry ... 29.2 meV/atom
! Energy of formation ... -1.344 eV/atom
! Space-group type ... No. 5
&SYSTEM
  ibrav = 0, nat = 20, ntyp = 3
/
ATOMIC_SPECIES
Na 22.99 Na.upf
Co 58.93 Co.upf
O 16.00 O.upf
CELL_PARAMETERS angstrom
-4.2790 2.4672 0.0162
-1.4372 -4.0962 5.7067
2.8334 3.2907 5.7063
ATOMIC_POSITIONS crystal
Na 0.2478 0.0823 0.4153
Na 0.7521 0.5848 0.9176
Co 0.0001 0.3318 0.6682
Co 0.4994 0.8385 0.1616
Co 0.9998 0.6656 0.3344
Co 0.5003 0.1668 0.8331
Co 0.4998 0.4988 0.5013
Co 0.0002 0.0007 0.9992
O 0.8857 0.9190 0.2585
O 0.3602 0.4176 0.7510
O 0.6399 0.2491 0.5823
O 0.1143 0.7409 0.0813
O 0.3584 0.0960 0.0783
O 0.8579 0.5803 0.5898
O 0.3517 0.7450 0.4260
O 0.8586 0.2564 0.9136
O 0.1419 0.0864 0.7436
O 0.6474 0.5745 0.2549
O 0.1418 0.4101 0.4197
O 0.6427 0.9220 0.9038

***

! MgMn6O8F4, relaxed, DFT GGA+U; values from VASP
! Total magnetic moment ... 24.00 μB/f.u.
! V ... 12.7 Å³/atom
! Energy above the lowest structure with this stoichiometry ... 105.0 meV/atom
! Energy of formation ... -2.208 eV/atom
! Space-group type ... No. 1
&SYSTEM
  ibrav = 0, nat = 19, ntyp = 4
/
ATOMIC_SPECIES
Mg 24.30 Mg.upf
Mn 54.94 Mn.upf
O 16.00 O.upf
F 19.00 F.upf
CELL_PARAMETERS angstrom
-4.4185 -0.6705 2.6913
-1.9402 -2.7009 -4.0027
2.9790 -7.5997 3.4934
ATOMIC_POSITIONS crystal
Mg 0.9715 0.5073 0.5166
Mn 0.0634 0.0257 0.0073
Mn 0.0606 0.0214 0.3259
Mn 0.0281 0.9937 0.6806
Mn 0.4527 0.5082 0.8245
Mn 0.4400 0.5122 0.1649
Mn 0.4610 0.5219 0.5077
O 0.2282 0.8389 0.1643
O 0.1841 0.8313 0.5065
O 0.2037 0.8363 0.8366
O 0.2944 0.3198 0.9911
O 0.2538 0.3707 0.3573
O 0.2512 0.3577 0.6632
O 0.6874 0.6318 0.6584
O 0.8629 0.1431 0.1694
F 0.6689 0.6434 0.9847
F 0.7220 0.6281 0.3529
F 0.8143 0.1594 0.5100
F 0.8241 0.1492 0.8422

***

! Li5Fe8B8O24, relaxed, DFT GGA+U; values from VASP
! Total magnetic moment ... 35.00 μB/f.u.
! V ... 10.7 Å³/atom
! Energy above the lowest structure with this stoichiometry ... 6.1 meV/atom
! Energy of formation ... -2.285 eV/atom
! Space-group type ... No. 1
&SYSTEM
  ibrav = 0, nat = 45, ntyp = 4
/
ATOMIC_SPECIES
Li 6.94 Li.upf
Fe 55.84 Fe.upf
B 10.81 B.upf
O 16.00 O.upf
CELL_PARAMETERS angstrom
0.9235 -4.7889 -1.9985
8.8600 0.9200 1.7671
-6.1384 -2.2783 9.2129
ATOMIC_POSITIONS crystal
Li 0.1669 0.8408 0.6556
Li 0.6102 0.9541 0.9149
Li 0.9332 0.5691 0.1680
Li 0.1130 0.4452 0.9017
Li 0.6560 0.3266 0.6371
Fe 0.4127 0.7309 0.1334
Fe 0.0953 0.7697 0.8775
Fe 0.8463 0.8608 0.3813
Fe 0.6455 0.6577 0.6235
Fe 0.3510 0.3527 0.3723
Fe 0.1484 0.1575 0.6264
Fe 0.9018 0.2189 0.1374
Fe 0.6006 0.2769 0.8827
B 0.6460 0.9872 0.6304
B 0.8938 0.8848 0.1204
B 0.1525 0.4888 0.6347
B 0.3993 0.4005 0.1280
B 0.8496 0.5187 0.3775
B 0.6046 0.6047 0.8720
B 0.3549 0.0263 0.3830
B 0.0949 0.1023 0.8788
O 0.1163 0.8485 0.0696
O 0.4768 0.8842 0.3409
O 0.2175 0.9605 0.8611
O 0.5123 0.8646 0.6386
O 0.8811 0.9601 0.5865
O 0.8150 0.7819 0.1753
O 0.2495 0.5176 0.1055
O 0.0587 0.6436 0.6742
O 0.7109 0.7251 0.8431
O 0.6240 0.5225 0.4220
O 0.9417 0.6508 0.3632
O 0.3653 0.6270 0.9082
O 0.6443 0.3825 0.0985
O 0.3836 0.4670 0.5911
O 0.2992 0.3001 0.1768
O 0.9803 0.3810 0.3474
O 0.7330 0.4728 0.8658
O 0.2043 0.2180 0.8484
O 0.1205 0.0227 0.4194
O 0.4672 0.1665 0.3930
O 0.0198 0.3682 0.6452
O 0.7538 0.0056 0.1097
O 0.5548 0.1388 0.6662
O 0.8641 0.1213 0.9198

***

! BaAlCo4O7, relaxed, DFT GGA+U; values from VASP
! Total magnetic moment ... 11.00 μB/f.u.
! V ... 12.2 Å³/atom
! Energy of formation ... -1.908 eV/atom
! Space-group type ... No. 186
&SYSTEM
  ibrav = 0, nat = 26, ntyp = 4
/
ATOMIC_SPECIES
Ba 137.33 Ba.upf
Al 26.98 Al.upf
Co 58.93 Co.upf
O 16.00 O.upf
CELL_PARAMETERS angstrom
-5.8527 0.3682 1.5648
4.1873 -1.3005 4.1968
1.1148 9.6882 1.8899
ATOMIC_POSITIONS crystal
Ba 0.6667 0.3333 0.5064
Ba 0.3333 0.6667 0.0064
Al 0.6667 0.3333 0.8809
Al 0.3333 0.6667 0.3809
Co 0.8220 0.1780 0.1890
Co 0.6440 0.8220 0.6890
Co 0.1780 0.3560 0.6890
Co 0.8220 0.6440 0.1890
Co 0.3560 0.1780 0.1890
Co 0.1780 0.8220 0.6890
Co 0.0000 0.0000 0.4444
Co 0.0000 0.0000 0.9444
O 0.8186 0.1814 0.9956
O 0.6372 0.8186 0.4956
O 0.1814 0.3628 0.4956
O 0.8186 0.6372 0.9956
O 0.3628 0.1814 0.9956
O 0.1814 0.8186 0.4956
O 0.0000 0.0000 0.7473
O 0.0000 0.0000 0.2473
O 0.4862 0.5138 0.2671
O 0.9723 0.4862 0.7671
O 0.5138 0.0277 0.7671
O 0.4862 0.9723 0.2671
O 0.5138 0.4862 0.7671
O 0.0277 0.5138 0.2671

***

! Li3Mn4B4O12, relaxed, DFT GGA+U; values from VASP
! Total magnetic moment ... 19.00 μB/f.u.
! V ... 11.0 Å³/atom
! Energy above the lowest structure with this stoichiometry ... 12.3 meV/atom
! Energy of formation ... -2.460 eV/atom
! Space-group type ... No. 2
&SYSTEM
  ibrav = 0, nat = 46, ntyp = 4
/
ATOMIC_SPECIES
Li 6.94 Li.upf
Mn 54.94 Mn.upf
B 10.81 B.upf
O 16.00 O.upf
CELL_PARAMETERS angstrom
-2.8238 -6.1808 -4.0394
-4.5703 -3.5678 5.9287
-9.0386 0.3730 -1.6371
ATOMIC_POSITIONS crystal
Li 0.8661 0.9515 0.1520
Li 0.1339 0.0485 0.8480
Li 0.3614 0.7932 0.3637
Li 0.6386 0.2068 0.6363
Li 0.3605 0.4521 0.1538
Li 0.6395 0.5479 0.8462
Mn 0.8277 0.9218 0.4978
Mn 0.9268 0.3241 0.0165
Mn 0.4239 0.8305 0.9951
Mn 0.1723 0.0782 0.5022
Mn 0.3164 0.4232 0.5085
Mn 0.0732 0.6759 0.9835
Mn 0.5761 0.1695 0.0049
Mn 0.6836 0.5768 0.4915
B 0.8310 0.9413 0.8275
B 0.9195 0.3212 0.6769
B 0.4258 0.8264 0.6594
B 0.1690 0.0587 0.1725
B 0.3355 0.4228 0.8359
B 0.0805 0.6788 0.3231
B 0.5742 0.1736 0.3406
B 0.6645 0.5772 0.1641
O 0.9024 0.9003 0.9527
O 0.8211 0.3490 0.8314
O 0.9350 0.9226 0.6714
O 0.9056 0.7644 0.3447
O 0.8466 0.3618 0.5560
O 0.0944 0.2356 0.6553
O 0.8450 0.5103 0.1309
O 0.3110 0.8488 0.8156
O 0.0650 0.0774 0.3286
O 0.1550 0.4897 0.8691
O 0.3665 0.8747 0.5286
O 0.0976 0.0997 0.0473
O 0.4140 0.3939 0.9536
O 0.1534 0.6382 0.4440
O 0.3476 0.9872 0.1483
O 0.4368 0.3931 0.6832
O 0.1789 0.6510 0.1686
O 0.6524 0.0128 0.8517
O 0.3995 0.2570 0.3521
O 0.6335 0.1253 0.4714
O 0.6005 0.7430 0.6479
O 0.5632 0.6069 0.3168
O 0.6890 0.1512 0.1844
O 0.5860 0.6061 0.0464

***

! Li3V2P3O12, relaxed, DFT GGA+U; values from VASP
! Total magnetic moment ... 4.00 μB/f.u.
! V ... 11.8 Å³/atom
! Energy above the lowest structure with this stoichiometry ... 44.3 meV/atom
! Energy of formation ... -2.684 eV/atom
! Space-group type ... No. 5
&SYSTEM
  ibrav = 0, nat = 40, ntyp = 4
/
ATOMIC_SPECIES
Li 6.94 Li.upf
V 50.94 V.upf
P 30.97 P.upf
O 16.00 O.upf
CELL_PARAMETERS angstrom
4.4160 7.4217 0.0000
-4.4160 7.4217 0.0000
0.0000 4.7689 7.1894
ATOMIC_POSITIONS crystal
Li 0.4946 0.0033 0.2219
Li 0.3491 0.6509 0.5000
Li 0.9967 0.5054 0.7781
Li 0.6540 0.3460 0.0000
Li 0.2463 0.1577 0.5958
Li 0.8423 0.7537 0.4042
V 0.3548 0.8619 0.1078
V 0.1381 0.6452 0.8922
V 0.8546 0.3547 0.6043
V 0.6453 0.1454 0.3957
P 0.7487 0.5494 0.2012
P 0.4506 0.2513 0.7988
P 0.0466 0.9534 0.5000
P 0.9578 0.0422 0.0000
P 0.5375 0.7493 0.7064
P 0.2507 0.4625 0.2936
O 0.2112 0.5019 0.1229
O 0.9917 0.8836 0.9438
O 0.5796 0.7323 0.2013
O 0.3794 0.7020 0.7197
O 0.9074 0.5720 0.0128
O 0.6956 0.3889 0.2298
O 0.4280 0.0926 0.9872
O 0.2677 0.4204 0.7987
O 0.0674 0.7605 0.6539
O 0.1164 0.0083 0.0562
O 0.7645 0.0649 0.1594
O 0.4981 0.7888 0.8771
O 0.4868 0.1921 0.6376
O 0.2395 0.9326 0.3461
O 0.8883 0.9872 0.4390
O 0.9351 0.2355 0.8406
O 0.7304 0.5887 0.6827
O 0.5661 0.9112 0.5185
O 0.2980 0.6206 0.2803
O 0.0888 0.4339 0.4815
O 0.6111 0.3044 0.7702
O 0.4113 0.2696 0.3173
O 0.0128 0.1117 0.5610
O 0.8079 0.5132 0.3624